No. 1
The following is a DFT calculation (PBE-GGA) of a relaxed structure of CaAsPt. Values from VASP.

Cell and atoms, written as Quantum ESPRESSO input:
```
&SYSTEM
  ibrav = 0, nat = 18, ntyp = 3
/
ATOMIC_SPECIES
Ca 40.08 Ca.upf
As 74.92 As.upf
Pt 195.08 Pt.upf
CELL_PARAMETERS angstrom
-2.114 2.114 22.178
2.114 -2.114 22.178
2.114 2.114 -22.178
ATOMIC_POSITIONS crystal
Ca 0.000 0.000 0.000
Ca 0.083 0.583 0.500
Ca 0.166 0.166 0.000
Ca 0.333 0.333 0.000
Ca 0.750 0.250 0.500
Ca 0.916 0.416 0.500
As 0.222 0.722 0.500
As 0.389 0.889 0.500
As 0.472 0.472 0.000
As 0.556 0.056 0.500
As 0.639 0.639 0.000
As 0.806 0.806 0.000
Pt 0.278 0.778 0.500
Pt 0.444 0.944 0.500
Pt 0.528 0.528 0.000
Pt 0.611 0.111 0.500
Pt 0.694 0.694 0.000
Pt 0.861 0.861 0.000
```

Electronic total energy in eV/atom: -5.26
Theoretical density in g/cm³: 7.79
Space group: I4_1md

=====

No. 2
The following is a DFT calculation (PBE-GGA) of a relaxed structure of LiCa3. Values from VASP.

Cell and atoms, written as Quantum ESPRESSO input:
```
&SYSTEM
  ibrav = 0, nat = 8, ntyp = 2
/
ATOMIC_SPECIES
Li 6.94 Li.upf
Ca 40.08 Ca.upf
CELL_PARAMETERS angstrom
7.492 0.000 0.000
-3.746 6.488 0.000
0.000 0.000 6.155
ATOMIC_POSITIONS crystal
Li 0.333 0.667 0.250
Li 0.667 0.333 0.750
Ca 0.169 0.338 0.750
Ca 0.169 0.831 0.750
Ca 0.338 0.169 0.250
Ca 0.662 0.831 0.750
Ca 0.831 0.169 0.250
Ca 0.831 0.662 0.250
```

Polymorph energy (0 for the lowest one) in eV per atom: 0.000
Theoretical density in g/cm³: 1.41
Space group: P6_3/mmc

=====

No. 3
The following is a DFT calculation (PBE-GGA) of a relaxed structure of NaCa2Si3HO9. Values from VASP.

Cell and atoms, written as Quantum ESPRESSO input:
```
&SYSTEM
  ibrav = 0, nat = 32, ntyp = 5
/
ATOMIC_SPECIES
Na 22.99 Na.upf
Ca 40.08 Ca.upf
Si 28.09 Si.upf
H 1.01 H.upf
O 16.00 O.upf
CELL_PARAMETERS angstrom
7.090 0.000 0.000
-0.056 7.116 0.000
-1.738 -0.749 7.861
ATOMIC_POSITIONS crystal
Na 0.245 0.160 0.449
Na 0.755 0.840 0.551
Ca 0.094 0.642 0.854
Ca 0.416 0.357 0.154
Ca 0.584 0.643 0.846
Ca 0.906 0.358 0.146
Si 0.100 0.164 0.782
Si 0.235 0.644 0.449
Si 0.451 0.844 0.214
Si 0.549 0.156 0.786
Si 0.765 0.356 0.551
Si 0.900 0.836 0.218
H 0.138 0.031 0.166
H 0.862 0.969 0.834
O 0.006 0.960 0.813
O 0.033 0.771 0.398
O 0.114 0.327 0.938
O 0.203 0.445 0.330
O 0.287 0.628 0.652
O 0.311 0.115 0.737
O 0.344 0.041 0.181
O 0.395 0.677 0.059
O 0.409 0.772 0.395
O 0.591 0.228 0.605
O 0.605 0.323 0.941
O 0.656 0.959 0.819
O 0.689 0.885 0.263
O 0.713 0.372 0.348
O 0.797 0.555 0.670
O 0.886 0.673 0.062
O 0.967 0.229 0.602
O 0.994 0.040 0.187
```

Electronic total energy in eV/atom: -7.06
Theoretical density in g/cm³: 2.78
Space group: P-1

=====

No. 4
The following is a DFT calculation (PBE-GGA) of a relaxed structure of VFe2N3. Values from VASP.

Cell and atoms, written as Quantum ESPRESSO input:
```
&SYSTEM
  ibrav = 0, nat = 12, ntyp = 3
/
ATOMIC_SPECIES
V 50.94 V.upf
Fe 55.84 Fe.upf
N 14.01 N.upf
CELL_PARAMETERS angstrom
4.606 -2.624 0.000
4.606 2.624 0.000
0.000 0.000 4.925
ATOMIC_POSITIONS crystal
V 0.180 0.820 0.500
V 0.820 0.180 0.000
Fe 0.201 0.491 0.020
Fe 0.491 0.201 0.520
Fe 0.509 0.799 0.020
Fe 0.799 0.509 0.520
N 0.136 0.501 0.388
N 0.172 0.828 0.884
N 0.499 0.864 0.388
N 0.501 0.136 0.888
N 0.828 0.172 0.384
N 0.864 0.499 0.888
```

Electronic total energy in eV/atom: -8.77
Theoretical density in g/cm³: 5.71
Space group: Cmc2_1

=====

No. 5
The following is a DFT calculation (PBE-GGA) of a relaxed structure of LaCoSb3. Values from VASP.

Cell and atoms, written as Quantum ESPRESSO input:
```
&SYSTEM
  ibrav = 0, nat = 40, ntyp = 3
/
ATOMIC_SPECIES
La 138.91 La.upf
Co 58.93 Co.upf
Sb 121.76 Sb.upf
CELL_PARAMETERS angstrom
13.022 0.000 0.000
0.000 6.231 0.000
0.000 0.000 12.200
ATOMIC_POSITIONS crystal
La 0.198 0.228 0.250
La 0.198 0.272 0.750
La 0.201 0.750 0.000
La 0.201 0.750 0.500
La 0.799 0.250 0.000
La 0.799 0.250 0.500
La 0.802 0.728 0.250
La 0.802 0.772 0.750
Co 0.404 0.038 0.636
Co 0.404 0.038 0.864
Co 0.404 0.462 0.136
Co 0.404 0.462 0.364
Co 0.596 0.538 0.636
Co 0.596 0.538 0.864
Co 0.596 0.962 0.136
Co 0.596 0.962 0.364
Sb 0.002 0.011 0.624
Sb 0.002 0.011 0.876
Sb 0.002 0.489 0.124
Sb 0.002 0.489 0.376
Sb 0.286 0.250 0.000
Sb 0.286 0.250 0.500
Sb 0.292 0.732 0.250
Sb 0.292 0.768 0.750
Sb 0.445 0.115 0.250
Sb 0.445 0.385 0.750
Sb 0.473 0.750 0.000
Sb 0.473 0.750 0.500
Sb 0.527 0.250 0.000
Sb 0.527 0.250 0.500
Sb 0.555 0.615 0.250
Sb 0.555 0.885 0.750
Sb 0.708 0.232 0.250
Sb 0.708 0.268 0.750
Sb 0.714 0.750 0.000
Sb 0.714 0.750 0.500
Sb 0.998 0.511 0.624
Sb 0.998 0.511 0.876
Sb 0.998 0.989 0.124
Sb 0.998 0.989 0.376
```

Electronic total energy in eV/atom: -5.49
Theoretical density in g/cm³: 7.56
Space group: Pbcm

=====

No. 6
The following is a DFT calculation (PBE-GGA) of a relaxed structure of NaCa2TiSi2O8F. Values from VASP.

Cell and atoms, written as Quantum ESPRESSO input:
```
&SYSTEM
  ibrav = 0, nat = 60, ntyp = 6
/
ATOMIC_SPECIES
Na 22.99 Na.upf
Ca 40.08 Ca.upf
Ti 47.87 Ti.upf
Si 28.09 Si.upf
O 16.00 O.upf
F 19.00 F.upf
CELL_PARAMETERS angstrom
5.816 0.000 0.000
0.007 7.568 0.000
0.753 3.772 18.911
ATOMIC_POSITIONS crystal
Na 0.000 0.000 0.000
Na 0.004 0.490 0.000
Na 0.677 0.782 0.498
Na 0.702 0.280 0.493
Ca 0.259 0.948 0.173
Ca 0.263 0.430 0.179
Ca 0.441 0.932 0.681
Ca 0.447 0.439 0.677
Ca 0.731 0.608 0.822
Ca 0.740 0.120 0.824
Ca 0.922 0.116 0.322
Ca 0.931 0.614 0.318
Ti 0.113 0.515 0.525
Ti 0.243 0.042 0.476
Ti 0.505 0.228 0.999
Ti 0.505 0.652 0.001
Si 0.231 0.332 0.854
Si 0.232 0.857 0.860
Si 0.422 0.373 0.353
Si 0.429 0.841 0.344
Si 0.746 0.714 0.143
Si 0.754 0.184 0.147
Si 0.960 0.718 0.652
Si 0.961 0.182 0.654
O 0.198 0.682 0.690
O 0.199 0.177 0.692
O 0.204 0.876 0.298
O 0.206 0.374 0.304
O 0.252 0.336 0.936
O 0.262 0.774 0.943
O 0.337 0.057 0.055
O 0.347 0.482 0.058
O 0.365 0.989 0.560
O 0.376 0.269 0.434
O 0.397 0.892 0.421
O 0.406 0.512 0.548
O 0.461 0.859 0.810
O 0.462 0.375 0.804
O 0.495 0.688 0.179
O 0.511 0.178 0.188
O 0.657 0.534 0.944
O 0.665 0.110 0.943
O 0.681 0.360 0.325
O 0.687 0.870 0.313
O 0.717 0.673 0.695
O 0.719 0.183 0.697
O 0.759 0.714 0.058
O 0.766 0.265 0.063
O 0.948 0.050 0.452
O 0.956 0.682 0.572
O 0.961 0.300 0.574
O 0.969 0.646 0.187
O 0.979 0.842 0.832
O 0.982 0.196 0.191
O 0.984 0.374 0.822
O 0.994 0.560 0.440
F 0.219 0.088 0.867
F 0.429 0.599 0.370
F 0.805 0.949 0.136
F 0.929 0.961 0.632
```

Polymorph energy (0 for the lowest one) in eV per atom: 0.000
Theoretical density in g/cm³: 2.83
Space group: P1

=====

No. 7
The following is a DFT calculation (PBE-GGA) of a relaxed structure of Nd2S3. Values from VASP.

Cell and atoms, written as Quantum ESPRESSO input:
```
&SYSTEM
  ibrav = 0, nat = 40, ntyp = 2
/
ATOMIC_SPECIES
Nd 144.24 Nd.upf
S 32.06 S.upf
CELL_PARAMETERS angstrom
-4.302 4.302 12.848
4.302 -4.302 12.848
4.302 4.302 -12.848
ATOMIC_POSITIONS crystal
Nd 0.047 0.151 0.620
Nd 0.166 0.166 0.000
Nd 0.177 0.781 0.880
Nd 0.219 0.099 0.396
Nd 0.255 0.625 0.130
Nd 0.375 0.505 0.630
Nd 0.495 0.125 0.870
Nd 0.531 0.427 0.380
Nd 0.573 0.953 0.104
Nd 0.584 0.084 0.500
Nd 0.703 0.823 0.604
Nd 0.834 0.834 0.000
Nd 0.849 0.469 0.896
Nd 0.875 0.745 0.370
Nd 0.901 0.297 0.120
Nd 0.916 0.416 0.500
S 0.005 0.757 0.895
S 0.072 0.464 0.245
S 0.173 0.928 0.392
S 0.185 0.436 0.588
S 0.186 0.435 0.088
S 0.214 0.322 0.745
S 0.218 0.827 0.755
S 0.243 0.138 0.247
S 0.347 0.098 0.912
S 0.403 0.815 0.251
S 0.507 0.255 0.395
S 0.532 0.786 0.108
S 0.536 0.782 0.608
S 0.564 0.152 0.749
S 0.565 0.653 0.751
S 0.577 0.468 0.255
S 0.678 0.423 0.892
S 0.745 0.141 0.253
S 0.848 0.597 0.412
S 0.859 0.112 0.605
S 0.862 0.109 0.105
S 0.888 0.493 0.747
S 0.891 0.995 0.753
S 0.902 0.814 0.249
```

Electronic total energy in eV/atom: -6.43
Theoretical density in g/cm³: 5.37
Space group: I-42d

=====

No. 8
The following is a DFT calculation (PBE-GGA) of a relaxed structure of Zr3Cd. Values from VASP.

Cell and atoms, written as Quantum ESPRESSO input:
```
&SYSTEM
  ibrav = 0, nat = 8, ntyp = 2
/
ATOMIC_SPECIES
Zr 91.22 Zr.upf
Cd 112.41 Cd.upf
CELL_PARAMETERS angstrom
4.426 0.000 0.000
0.000 4.426 0.000
0.000 0.000 9.162
ATOMIC_POSITIONS crystal
Zr 0.000 0.000 0.000
Zr 0.000 0.500 0.250
Zr 0.000 0.500 0.750
Zr 0.500 0.000 0.250
Zr 0.500 0.000 0.750
Zr 0.500 0.500 0.500
Cd 0.000 0.000 0.500
Cd 0.500 0.500 0.000
```

Electronic total energy in eV/atom: -6.71
Theoretical density in g/cm³: 7.14
Space group: I4/mmm

=====

No. 9
The following is a DFT calculation (PBE-GGA) of a relaxed structure of Tb2IrPd. Values from VASP.

Cell and atoms, written as Quantum ESPRESSO input:
```
&SYSTEM
  ibrav = 0, nat = 16, ntyp = 3
/
ATOMIC_SPECIES
Tb 158.93 Tb.upf
Ir 192.22 Ir.upf
Pd 106.42 Pd.upf
CELL_PARAMETERS angstrom
6.961 0.000 0.000
0.000 6.961 0.000
0.000 0.000 6.961
ATOMIC_POSITIONS crystal
Tb 0.250 0.250 0.250
Tb 0.250 0.250 0.750
Tb 0.250 0.750 0.250
Tb 0.250 0.750 0.750
Tb 0.750 0.250 0.250
Tb 0.750 0.250 0.750
Tb 0.750 0.750 0.250
Tb 0.750 0.750 0.750
Ir 0.000 0.000 0.000
Ir 0.000 0.500 0.500
Ir 0.500 0.000 0.500
Ir 0.500 0.500 0.000
Pd 0.000 0.000 0.500
Pd 0.000 0.500 0.000
Pd 0.500 0.000 0.000
Pd 0.500 0.500 0.500
```

Electronic total energy in eV/atom: -6.71
Theoretical density in g/cm³: 12.14
Space group: Fm-3m

=====

No. 10
The following is a DFT calculation (PBE-GGA) of a relaxed structure of Li2MgTi9O20. Values from VASP.

Cell and atoms, written as Quantum ESPRESSO input:
```
&SYSTEM
  ibrav = 0, nat = 32, ntyp = 4
/
ATOMIC_SPECIES
Li 6.94 Li.upf
Mg 24.30 Mg.upf
Ti 47.87 Ti.upf
O 16.00 O.upf
CELL_PARAMETERS angstrom
5.242 0.000 0.000
0.000 10.076 0.000
-2.549 0.000 7.026
ATOMIC_POSITIONS crystal
Li 0.000 0.000 0.000
Li 0.071 0.500 0.306
Mg 0.488 0.000 0.497
Ti 0.092 0.310 0.974
Ti 0.092 0.690 0.974
Ti 0.495 0.179 0.833
Ti 0.495 0.821 0.833
Ti 0.584 0.500 0.803
Ti 0.589 0.315 0.462
Ti 0.589 0.685 0.462
Ti 0.987 0.182 0.333
Ti 0.987 0.818 0.333
O 0.103 0.000 0.297
O 0.219 0.141 0.922
O 0.219 0.859 0.922
O 0.265 0.315 0.240
O 0.265 0.685 0.240
O 0.316 0.189 0.557
O 0.316 0.811 0.557
O 0.362 0.372 0.876
O 0.362 0.628 0.876
O 0.469 0.500 0.531
O 0.605 0.000 0.793
O 0.717 0.136 0.426
O 0.717 0.864 0.426
O 0.752 0.317 0.746
O 0.752 0.683 0.746
O 0.816 0.197 0.058
O 0.816 0.803 0.058
O 0.855 0.363 0.378
O 0.855 0.637 0.378
O 0.936 0.500 0.993
```

Electronic total energy in eV/atom: -8.44
Theoretical density in g/cm³: 3.53
Space group: Pm

=====

No. 11
The following is a DFT calculation (PBE-GGA) of a relaxed structure of ErCdAu2. Values from VASP.

Cell and atoms, written as Quantum ESPRESSO input:
```
&SYSTEM
  ibrav = 0, nat = 16, ntyp = 3
/
ATOMIC_SPECIES
Er 167.26 Er.upf
Cd 112.41 Cd.upf
Au 196.97 Au.upf
CELL_PARAMETERS angstrom
6.956 0.000 0.000
0.000 6.956 0.000
0.000 0.000 6.956
ATOMIC_POSITIONS crystal
Er 0.000 0.000 0.000
Er 0.000 0.500 0.500
Er 0.500 0.000 0.500
Er 0.500 0.500 0.000
Cd 0.000 0.000 0.500
Cd 0.000 0.500 0.000
Cd 0.500 0.000 0.000
Cd 0.500 0.500 0.500
Au 0.250 0.250 0.250
Au 0.250 0.250 0.750
Au 0.250 0.750 0.250
Au 0.250 0.750 0.750
Au 0.750 0.250 0.250
Au 0.750 0.250 0.750
Au 0.750 0.750 0.250
Au 0.750 0.750 0.750
```

Electronic total energy in eV/atom: -3.68
Theoretical density in g/cm³: 13.29
Space group: Fm-3m

=====

No. 12
The following is a DFT calculation (PBE-GGA) of a relaxed structure of Cr2HgS4. Values from VASP.

Cell and atoms, written as Quantum ESPRESSO input:
```
&SYSTEM
  ibrav = 0, nat = 14, ntyp = 3
/
ATOMIC_SPECIES
Cr 52.00 Cr.upf
Hg 200.59 Hg.upf
S 32.06 S.upf
CELL_PARAMETERS angstrom
18.055 0.000 0.000
0.000 2.992 0.000
-0.857 0.000 5.458
ATOMIC_POSITIONS crystal
Cr 0.246 0.000 0.196
Cr 0.254 0.500 0.804
Cr 0.746 0.500 0.196
Cr 0.754 0.000 0.804
Hg 0.000 0.500 0.500
Hg 0.500 0.000 0.500
S 0.159 0.500 0.027
S 0.182 0.000 0.539
S 0.318 0.500 0.461
S 0.341 0.000 0.973
S 0.659 0.000 0.027
S 0.682 0.500 0.539
S 0.818 0.000 0.461
S 0.841 0.500 0.973
```

Polymorph energy (0 for the lowest one) in eV per atom: 0.101
Theoretical density in g/cm³: 4.88
Space group: C2/m

=====

No. 13
The following is a DFT calculation (PBE-GGA) of a relaxed structure of YTh. Values from VASP.

Cell and atoms, written as Quantum ESPRESSO input:
```
&SYSTEM
  ibrav = 0, nat = 6, ntyp = 2
/
ATOMIC_SPECIES
Y 88.91 Y.upf
Th 232.04 Th.upf
CELL_PARAMETERS angstrom
3.562 0.000 0.000
-1.781 3.085 0.000
0.000 0.000 17.491
ATOMIC_POSITIONS crystal
Y 0.000 0.000 0.000
Y 0.333 0.667 0.667
Y 0.667 0.333 0.333
Th 0.000 0.000 0.500
Th 0.333 0.667 0.167
Th 0.667 0.333 0.833
```

Polymorph energy (0 for the lowest one) in eV per atom: 0.000
Theoretical density in g/cm³: 8.32
Space group: R-3m

=====

No. 14
The following is a DFT calculation (PBE-GGA) of a relaxed structure of CsSmZnSe3. Values from VASP.

Cell and atoms, written as Quantum ESPRESSO input:
```
&SYSTEM
  ibrav = 0, nat = 12, ntyp = 4
/
ATOMIC_SPECIES
Cs 132.91 Cs.upf
Sm 150.36 Sm.upf
Zn 65.41 Zn.upf
Se 78.96 Se.upf
CELL_PARAMETERS angstrom
2.123 -8.132 0.000
2.123 8.132 0.000
0.000 0.000 11.233
ATOMIC_POSITIONS crystal
Cs 0.242 0.758 0.750
Cs 0.758 0.242 0.250
Sm 0.500 0.500 0.000
Sm 0.500 0.500 0.500
Zn 0.040 0.960 0.250
Zn 0.960 0.040 0.750
Se 0.118 0.882 0.063
Se 0.118 0.882 0.437
Se 0.446 0.554 0.250
Se 0.554 0.446 0.750
Se 0.882 0.118 0.563
Se 0.882 0.118 0.937
```

Electronic total energy in eV/atom: -4.30
Theoretical density in g/cm³: 5.01
Space group: Cmcm

=====

No. 15
The following is a DFT calculation (PBE-GGA) of a relaxed structure of Cs2GaSb2. Values from VASP.

Cell and atoms, written as Quantum ESPRESSO input:
```
&SYSTEM
  ibrav = 0, nat = 40, ntyp = 3
/
ATOMIC_SPECIES
Cs 132.91 Cs.upf
Ga 69.72 Ga.upf
Sb 121.76 Sb.upf
CELL_PARAMETERS angstrom
18.383 0.000 0.000
0.000 11.406 0.000
0.000 0.000 8.555
ATOMIC_POSITIONS crystal
Cs 0.128 0.034 0.124
Cs 0.128 0.466 0.124
Cs 0.136 0.052 0.630
Cs 0.136 0.448 0.630
Cs 0.364 0.552 0.130
Cs 0.364 0.948 0.130
Cs 0.372 0.534 0.624
Cs 0.372 0.966 0.624
Cs 0.628 0.034 0.376
Cs 0.628 0.466 0.376
Cs 0.636 0.052 0.870
Cs 0.636 0.448 0.870
Cs 0.864 0.552 0.370
Cs 0.864 0.948 0.370
Cs 0.872 0.534 0.876
Cs 0.872 0.966 0.876
Ga 0.078 0.750 0.392
Ga 0.079 0.750 0.860
Ga 0.421 0.250 0.360
Ga 0.422 0.250 0.892
Ga 0.578 0.750 0.108
Ga 0.579 0.750 0.640
Ga 0.921 0.250 0.140
Ga 0.922 0.250 0.608
Sb 0.005 0.750 0.126
Sb 0.013 0.250 0.373
Sb 0.218 0.750 0.456
Sb 0.219 0.750 0.797
Sb 0.281 0.250 0.297
Sb 0.282 0.250 0.956
Sb 0.487 0.750 0.873
Sb 0.495 0.250 0.626
Sb 0.505 0.750 0.374
Sb 0.513 0.250 0.127
Sb 0.718 0.750 0.044
Sb 0.719 0.750 0.703
Sb 0.781 0.250 0.203
Sb 0.782 0.250 0.544
Sb 0.987 0.750 0.627
Sb 0.995 0.250 0.874
```

Electronic total energy in eV/atom: -3.04
Theoretical density in g/cm³: 4.29
Space group: Pnma